Compound: YbO3
Source: the Materials Project database
Functional: meta-GGA r2SCAN
Structure: relaxed

Values from the calculation:
- calculated formation energy (eV/atom) = -2.363

Cell lengths 3.885, 3.660, 6.289 Å; angles 90.00, 101.78, 90.00 degrees
Fractional coordinates of all 8 atoms:
Yb  0.199  0.250  0.322
Yb  0.801  0.750  0.678
O  0.219  0.250  0.899
O  0.252  0.750  0.522
O  0.464  0.750  0.151
O  0.536  0.250  0.849
O  0.748  0.250  0.478
O  0.781  0.750  0.101